# 1
LiHo2Ag2W4O16 | Materials Project | GGA+U | relaxed; total magnetic moment = 0.040 μB per atom; formation energy from the elements = -53.3 kcal/mol of atoms
1.0
5.192 -5.445 0.000
5.192 5.445 0.000
-4.582 0.000 5.760
Li Ho Ag W O
1 2 2 4 16
Direct
0.000 0.000 0.000 Li
0.289 0.711 0.000 Ho
0.711 0.289 0.000 Ho
0.311 0.311 0.469 Ag
0.689 0.689 0.531 Ag
0.161 0.839 0.500 W
0.236 0.236 0.975 W
0.764 0.764 0.025 W
0.839 0.161 0.500 W
0.013 0.013 0.338 O
0.047 0.292 0.087 O
0.102 0.362 0.765 O
0.217 0.695 0.653 O
0.292 0.047 0.087 O
0.305 0.783 0.347 O
0.362 0.102 0.765 O
0.463 0.463 0.151 O
0.537 0.537 0.849 O
0.638 0.898 0.235 O
0.695 0.217 0.653 O
0.708 0.953 0.913 O
0.783 0.305 0.347 O
0.898 0.638 0.235 O
0.953 0.708 0.913 O
0.987 0.987 0.662 O

# 2
InAgMo2O8 | Materials Project | GGA+U | relaxed; total magnetic moment = 0.000 μB per atom; formation energy from the elements = -40.1 kcal/mol of atoms
1.0
3.562 -18.986 0.000
3.562 18.986 0.000
-3.514 0.000 3.609
In Ag Mo O
3 3 6 24
Direct
0.000 0.000 0.000 In
0.395 0.605 0.500 In
0.746 0.254 0.500 In
0.580 0.420 0.500 Ag
0.649 0.351 0.000 Ag
0.820 0.180 0.000 Ag
0.069 0.931 0.500 Mo
0.168 0.832 0.000 Mo
0.226 0.774 0.500 Mo
0.322 0.678 0.000 Mo
0.475 0.525 0.000 Mo
0.919 0.081 0.500 Mo
0.024 0.511 0.429 O
0.034 0.442 0.878 O
0.040 0.260 0.891 O
0.150 0.224 0.898 O
0.198 0.114 0.913 O
0.210 0.511 0.603 O
0.245 0.385 0.603 O
0.342 0.151 0.599 O
0.351 0.345 0.611 O
0.370 0.093 0.091 O
0.375 0.006 0.493 O
0.437 0.007 0.023 O
0.489 0.790 0.397 O
0.489 0.976 0.571 O
0.558 0.966 0.122 O
0.615 0.755 0.397 O
0.655 0.649 0.389 O
0.740 0.960 0.109 O
0.776 0.850 0.102 O
0.849 0.658 0.401 O
0.886 0.802 0.087 O
0.907 0.630 0.909 O
0.993 0.563 0.977 O
0.994 0.625 0.507 O

# 3
KV4Ag11O16 | Materials Project | GGA+U | relaxed; total magnetic moment = 0.000 μB per atom; formation energy from the elements = -30.7 kcal/mol of atoms
1.0
10.535 0.000 0.000
0.000 17.224 0.000
0.000 0.000 10.778
K V Ag O
4 16 44 64
Direct
0.000 0.000 0.000 K
0.000 0.500 0.500 K
0.500 0.000 0.500 K
0.500 0.500 0.000 K
0.001 0.235 0.018 V
0.001 0.265 0.518 V
0.242 0.002 0.266 V
0.242 0.498 0.766 V
0.258 0.502 0.266 V
0.258 0.998 0.766 V
0.499 0.735 0.018 V
0.499 0.765 0.518 V
0.501 0.235 0.482 V
0.501 0.265 0.982 V
0.742 0.002 0.234 V
0.742 0.498 0.734 V
0.758 0.502 0.234 V
0.758 0.998 0.734 V
0.999 0.735 0.482 V
0.999 0.765 0.982 V
0.000 0.000 0.500 Ag
0.000 0.500 0.000 Ag
0.025 0.136 0.724 Ag
0.025 0.364 0.224 Ag
0.031 0.634 0.210 Ag
0.031 0.866 0.710 Ag
0.213 0.623 0.011 Ag
0.213 0.877 0.511 Ag
0.215 0.121 0.526 Ag
0.215 0.379 0.026 Ag
0.248 0.245 0.240 Ag
0.248 0.255 0.740 Ag
0.252 0.745 0.240 Ag
0.252 0.755 0.740 Ag
0.285 0.621 0.526 Ag
0.285 0.879 0.026 Ag
0.287 0.123 0.011 Ag
0.287 0.377 0.511 Ag
0.469 0.134 0.210 Ag
0.469 0.366 0.710 Ag
0.475 0.636 0.724 Ag
0.475 0.864 0.224 Ag
0.500 0.000 0.000 Ag
0.500 0.500 0.500 Ag
0.525 0.136 0.776 Ag
0.525 0.364 0.276 Ag
0.531 0.634 0.290 Ag
0.531 0.866 0.790 Ag
0.713 0.623 0.489 Ag
0.713 0.877 0.989 Ag
0.715 0.121 0.974 Ag
0.715 0.379 0.474 Ag
0.748 0.245 0.260 Ag
0.748 0.255 0.760 Ag
0.752 0.745 0.260 Ag
0.752 0.755 0.760 Ag
0.785 0.621 0.974 Ag
0.785 0.879 0.474 Ag
0.787 0.123 0.489 Ag
0.787 0.377 0.989 Ag
0.969 0.134 0.290 Ag
0.969 0.366 0.790 Ag
0.975 0.636 0.776 Ag
0.975 0.864 0.276 Ag
0.081 0.671 0.574 O
0.081 0.829 0.074 O
0.082 0.001 0.317 O
0.082 0.499 0.817 O
0.088 0.202 0.417 O
0.088 0.298 0.917 O
0.107 0.711 0.884 O
0.107 0.789 0.384 O
0.108 0.184 0.112 O
0.108 0.316 0.612 O
0.179 0.080 0.824 O
0.179 0.420 0.324 O
0.181 0.584 0.324 O
0.181 0.916 0.824 O
0.241 0.002 0.103 O
0.241 0.498 0.603 O
0.259 0.502 0.103 O
0.259 0.998 0.603 O
0.319 0.084 0.324 O
0.319 0.416 0.824 O
0.321 0.580 0.824 O
0.321 0.920 0.324 O
0.392 0.684 0.112 O
0.392 0.816 0.612 O
0.393 0.211 0.884 O
0.393 0.289 0.384 O
0.412 0.702 0.417 O
0.412 0.798 0.917 O
0.418 0.501 0.317 O
0.418 0.999 0.817 O
0.419 0.171 0.574 O
0.419 0.329 0.074 O
0.581 0.671 0.926 O
0.581 0.829 0.426 O
0.582 0.001 0.183 O
0.582 0.499 0.683 O
0.588 0.202 0.083 O
0.588 0.298 0.583 O
0.607 0.711 0.616 O
0.607 0.789 0.116 O
0.608 0.184 0.388 O
0.608 0.316 0.888 O
0.679 0.080 0.676 O
0.679 0.420 0.176 O
0.681 0.584 0.176 O
0.681 0.916 0.676 O
0.741 0.002 0.397 O
0.741 0.498 0.897 O
0.759 0.502 0.397 O
0.759 0.998 0.897 O
0.819 0.084 0.176 O
0.819 0.416 0.676 O
0.821 0.580 0.676 O
0.821 0.920 0.176 O
0.892 0.684 0.388 O
0.892 0.816 0.888 O
0.893 0.211 0.616 O
0.893 0.289 0.116 O
0.912 0.702 0.083 O
0.912 0.798 0.583 O
0.918 0.501 0.183 O
0.918 0.999 0.683 O
0.919 0.171 0.926 O
0.919 0.329 0.426 O

# 4
La7SmNi6Ag2O24 | Materials Project | GGA+U | relaxed; total magnetic moment = 0.167 μB per atom; formation energy from the elements = -52.0 kcal/mol of atoms
1.0
7.874 0.000 0.000
0.000 5.505 5.515
0.000 -5.505 5.515
La Sm Ni Ag O
7 1 6 2 24
Direct
0.000 0.000 0.000 La
0.000 0.000 0.486 La
0.000 0.486 0.000 La
0.000 0.486 0.486 La
0.500 0.000 0.000 La
0.500 0.000 0.486 La
0.500 0.486 0.000 La
0.500 0.484 0.484 Sm
0.250 0.243 0.243 Ni
0.251 0.244 0.742 Ni
0.251 0.742 0.244 Ni
0.749 0.244 0.742 Ni
0.749 0.742 0.244 Ni
0.750 0.243 0.243 Ni
0.250 0.743 0.743 Ag
0.750 0.743 0.743 Ag
0.000 0.243 0.243 O
0.000 0.243 0.742 O
0.000 0.742 0.243 O
0.000 0.743 0.743 O
0.250 0.005 0.743 O
0.250 0.243 0.983 O
0.250 0.743 0.005 O
0.250 0.983 0.243 O
0.253 0.245 0.502 O
0.253 0.481 0.740 O
0.253 0.502 0.245 O
0.253 0.740 0.481 O
0.500 0.245 0.741 O
0.500 0.246 0.246 O
0.500 0.740 0.740 O
0.500 0.741 0.245 O
0.747 0.245 0.502 O
0.747 0.481 0.740 O
0.747 0.502 0.245 O
0.747 0.740 0.481 O
0.750 0.005 0.743 O
0.750 0.243 0.983 O
0.750 0.743 0.005 O
0.750 0.983 0.243 O